Material: Li2CrCo3O8
Method: DFT, PBE with a Hubbard U
State: optimized geometry

Cell and atoms, written as POSCAR:
```
Li2CrCo3O8
1.0
8.194 0.000 0.000
0.058 8.321 0.000
0.021 0.003 8.322
Li Cr Co O
8 4 12 32
direct
0.999 0.998 0.002 Li
0.251 0.251 0.247 Li
0.250 0.752 0.747 Li
0.502 0.997 0.503 Li
0.501 0.501 0.003 Li
0.748 0.250 0.747 Li
0.748 0.750 0.250 Li
0.999 0.501 0.502 Li
0.123 0.871 0.377 Cr
0.379 0.121 0.873 Cr
0.626 0.628 0.621 Cr
0.873 0.378 0.128 Cr
0.124 0.122 0.627 Co
0.133 0.377 0.877 Co
0.126 0.629 0.128 Co
0.375 0.377 0.622 Co
0.376 0.623 0.375 Co
0.383 0.871 0.122 Co
0.625 0.378 0.374 Co
0.624 0.125 0.126 Co
0.625 0.876 0.872 Co
0.871 0.123 0.380 Co
0.872 0.874 0.626 Co
0.873 0.628 0.873 Co
0.104 0.112 0.382 O
0.104 0.886 0.616 O
0.110 0.608 0.886 O
0.142 0.143 0.873 O
0.116 0.391 0.108 O
0.135 0.360 0.643 O
0.143 0.632 0.364 O
0.137 0.858 0.136 O
0.363 0.131 0.642 O
0.369 0.364 0.865 O
0.359 0.630 0.145 O
0.383 0.618 0.600 O
0.367 0.851 0.366 O
0.392 0.394 0.380 O
0.389 0.114 0.110 O
0.391 0.886 0.880 O
0.614 0.386 0.602 O
0.608 0.609 0.381 O
0.616 0.882 0.102 O
0.630 0.368 0.148 O
0.611 0.106 0.881 O
0.639 0.147 0.369 O
0.644 0.866 0.641 O
0.642 0.643 0.863 O
0.853 0.371 0.367 O
0.860 0.138 0.139 O
0.861 0.861 0.857 O
0.879 0.879 0.399 O
0.869 0.646 0.635 O
0.882 0.102 0.616 O
0.881 0.398 0.887 O
0.895 0.619 0.115 O
```

Properties
Corrected total energy (MP2020 scheme) in eV for the cell shown: -390.85
ΔE_f in kcal/mol of atoms: -38.43
Magnetic moment in μB per cell: 20.0
VASP energy in eV per atom: -6.093

=====

Material: Li4Cr3CoO8
Method: DFT, PBE with a Hubbard U
State: optimized geometry

Cell and atoms, written as POSCAR:
```
Li4Cr3CoO8
1.0
-2.956 5.117 0.000
4.440 5.973 4.854
4.436 -0.851 -4.853
Li Cr Co O
8 6 2 16
direct
0.005 0.499 0.491 Li
0.495 0.001 0.997 Li
0.495 0.501 0.509 Li
0.005 0.999 0.003 Li
0.747 0.749 0.751 Li
0.247 0.251 0.250 Li
0.753 0.251 0.249 Li
0.253 0.749 0.750 Li
0.250 0.500 0.000 Cr
0.750 0.000 0.500 Cr
0.497 0.251 0.749 Cr
0.003 0.749 0.251 Cr
0.999 0.250 0.751 Cr
0.502 0.750 0.249 Cr
0.250 0.000 0.500 Co
0.750 0.500 0.000 Co
0.361 0.258 0.984 O
0.864 0.758 0.484 O
0.139 0.742 0.016 O
0.636 0.242 0.516 O
0.859 0.258 0.983 O
0.368 0.754 0.484 O
0.641 0.742 0.017 O
0.132 0.246 0.516 O
0.380 0.491 0.761 O
0.892 0.992 0.269 O
0.882 0.492 0.775 O
0.390 0.991 0.263 O
0.120 0.509 0.239 O
0.608 0.008 0.731 O
0.618 0.508 0.225 O
0.110 0.009 0.737 O
```

Properties
Corrected total energy (MP2020 scheme) in eV for the cell shown: -237.67
ΔE_f in kcal/mol of atoms: -51.23
Magnetic moment in μB per cell: 18.0
VASP energy in eV per atom: -6.606

=====

Material: Li3CrCo4O8
Method: DFT, PBE with a Hubbard U
State: optimized geometry

Cell and atoms, written as POSCAR:
```
Li3CrCo4O8
1.0
0.964 -5.650 1.187
5.472 -2.031 0.444
2.107 -1.542 5.270
Li Cr Co O
3 1 4 8
direct
0.000 0.500 0.500 Li
0.000 0.000 0.500 Li
0.500 0.000 0.500 Li
0.500 0.500 0.000 Cr
0.500 0.500 0.500 Co
0.000 0.000 0.000 Co
0.000 0.500 0.000 Co
0.500 0.000 0.000 Co
0.743 0.743 0.779 O
0.729 0.244 0.770 O
0.244 0.729 0.770 O
0.249 0.249 0.781 O
0.751 0.751 0.219 O
0.756 0.271 0.230 O
0.271 0.756 0.230 O
0.257 0.257 0.221 O
```

Properties
Corrected total energy (MP2020 scheme) in eV for the cell shown: -110.14
ΔE_f in kcal/mol of atoms: -38.55
Magnetic moment in μB per cell: 16.9
VASP energy in eV per atom: -6.006

=====

Material: Li2CrCo3O8
Method: DFT, PBE with a Hubbard U
State: optimized geometry

Cell and atoms, written as POSCAR:
```
Li2CrCo3O8
1.0
4.622 -0.399 -3.565
1.766 9.350 -3.756
5.307 1.657 1.856
Li Cr Co O
4 2 6 16
direct
0.566 0.317 0.552 Li
0.058 0.817 0.051 Li
0.942 0.183 0.949 Li
0.434 0.683 0.448 Li
0.254 0.251 0.253 Cr
0.746 0.749 0.747 Cr
0.500 0.500 0.000 Co
0.000 0.500 0.000 Co
0.000 0.500 0.500 Co
0.000 0.000 0.500 Co
0.500 0.000 0.500 Co
0.500 0.000 0.000 Co
0.883 0.391 0.882 O
0.364 0.895 0.384 O
0.636 0.105 0.616 O
0.117 0.609 0.118 O
0.368 0.388 0.341 O
0.855 0.882 0.849 O
0.906 0.385 0.344 O
0.401 0.887 0.844 O
0.356 0.388 0.905 O
0.841 0.884 0.401 O
0.159 0.116 0.599 O
0.645 0.612 0.095 O
0.599 0.113 0.157 O
0.093 0.615 0.656 O
0.145 0.118 0.151 O
0.632 0.612 0.659 O
```

Properties
Corrected total energy (MP2020 scheme) in eV for the cell shown: -193.91
ΔE_f in kcal/mol of atoms: -37.19
Magnetic moment in μB per cell: 4.1
VASP energy in eV per atom: -6.039

=====

Material: Li4Cr3CoO8
Method: DFT, PBE with a Hubbard U
State: optimized geometry

Cell and atoms, written as POSCAR:
```
Li4Cr3CoO8
1.0
-3.215 0.684 -3.859
-5.328 -6.104 5.663
-2.369 4.666 2.801
Li Cr Co O
8 6 2 16
direct
0.999 0.000 0.000 Li
0.501 0.500 0.500 Li
0.999 0.000 0.500 Li
0.501 0.500 0.000 Li
0.490 0.001 0.250 Li
0.989 0.500 0.750 Li
0.010 0.499 0.250 Li
0.511 0.000 0.750 Li
0.750 0.750 0.250 Cr
0.750 0.250 0.501 Cr
0.750 0.250 0.999 Cr
0.250 0.250 0.750 Cr
0.250 0.750 0.001 Cr
0.250 0.750 0.499 Cr
0.250 0.250 0.250 Co
0.750 0.750 0.750 Co
0.891 0.142 0.250 O
0.391 0.642 0.750 O
0.609 0.358 0.250 O
0.109 0.858 0.750 O
0.623 0.364 0.750 O
0.124 0.863 0.250 O
0.877 0.136 0.750 O
0.376 0.637 0.250 O
0.378 0.136 0.502 O
0.877 0.634 0.002 O
0.378 0.136 0.998 O
0.877 0.634 0.498 O
0.122 0.364 0.502 O
0.623 0.866 0.002 O
0.122 0.364 0.998 O
0.623 0.866 0.498 O
```

Properties
Corrected total energy (MP2020 scheme) in eV for the cell shown: -237.73
ΔE_f in kcal/mol of atoms: -51.28
Magnetic moment in μB per cell: 18.0
VASP energy in eV per atom: -6.608

=====

Material: Li4Cr5Co3O16
Method: DFT, PBE with a Hubbard U
State: optimized geometry

Cell and atoms, written as POSCAR:
```
Li4Cr5Co3O16
1.0
2.872 4.930 0.000
-2.872 4.930 0.000
0.000 0.024 9.313
Li Cr Co O
4 5 3 16
direct
0.330 0.330 0.110 Li
0.007 0.007 0.004 Li
0.006 0.006 0.502 Li
0.664 0.664 0.605 Li
0.171 0.656 0.788 Cr
0.332 0.332 0.508 Cr
0.656 0.171 0.788 Cr
0.828 0.828 0.289 Cr
0.665 0.665 0.013 Cr
0.172 0.172 0.787 Co
0.341 0.831 0.287 Co
0.831 0.341 0.287 Co
0.165 0.667 0.398 O
0.478 0.478 0.658 O
0.333 0.333 0.900 O
0.002 0.002 0.693 O
0.002 0.002 0.194 O
0.667 0.165 0.398 O
0.042 0.478 0.658 O
0.478 0.042 0.658 O
0.833 0.833 0.898 O
0.169 0.169 0.396 O
0.520 0.956 0.159 O
0.956 0.520 0.159 O
0.664 0.664 0.396 O
0.334 0.831 0.898 O
0.521 0.521 0.164 O
0.831 0.334 0.898 O
```

Properties
Corrected total energy (MP2020 scheme) in eV for the cell shown: -210.51
ΔE_f in kcal/mol of atoms: -44.57
Magnetic moment in μB per cell: 11.0
VASP energy in eV per atom: -6.593